# Co4SiC14O14

A geometry-optimized Co4SiC14O14 structure (GGA+U, the Materials Project).

a b c (Å): 9.2981 9.2981 12.4139
angles (deg): 82.08 82.08 85.22
With the nearest neighbours (Å) after each atom.
Element x y z (fractional)
O 0.6108 0.6395 0.3062  1 C 1.16
O 0.6628 0.8875 0.4856  1 C 1.15
C 0.2268 0.5303 0.4449  1 O 1.16
C 0.9472 0.6895 0.0552  1 O 1.15
C 0.6597 0.4940 0.8500  1 O 1.16
Si 0.7608 0.2392 0.7500  4 Co 2.29-2.32
C 0.3629 0.7130 0.5496  1 O 1.15
C 0.3105 0.0528 0.4448  1 O 1.15
O 0.1776 0.4181 0.4673  1 C 1.16
C 0.9243 0.8607 0.2246  1 O 1.16
C 0.4370 0.9971 0.2504  1 O 1.15
O 0.0321 0.5425 0.6961  1 C 1.15
O 0.9679 0.4575 0.3039  1 C 1.15
Co 0.3146 0.6933 0.4185  4 C 1.75-1.95
Co 0.6854 0.3067 0.5815  4 C 1.75-1.95
O 0.6068 0.2726 0.3656  1 C 1.15
C 0.8607 0.9243 0.7246  1 O 1.16
C 0.6895 0.9472 0.5552  1 O 1.15
Co 0.6933 0.3146 0.9185  4 C 1.75-1.95
C 0.7130 0.3629 0.0496  1 O 1.15
O 0.8224 0.5819 0.5327  1 C 1.16
O 0.0341 0.8367 0.4947  1 C 1.18
O 0.2726 0.6068 0.8656  1 C 1.15
C 0.3403 0.5060 0.1500  1 O 1.16
C 0.8503 0.1653 0.5583  1 O 1.18
C 0.9971 0.4370 0.7504  1 O 1.15
O 0.3372 0.1125 0.5144  1 C 1.15
O 0.1599 0.0588 0.7341  1 C 1.16
O 0.8367 0.0341 0.9947  1 C 1.18
C 0.4940 0.6597 0.3500  1 O 1.16
Co 0.3067 0.6854 0.0815  4 C 1.75-1.95
O 0.1633 0.9659 0.0053  1 C 1.18
O 0.7274 0.3932 0.1344  1 C 1.15
Co 0.7288 0.0415 0.6624  4 C 1.76-1.92
C 0.1393 0.0757 0.2754  1 O 1.16
C 0.1497 0.8347 0.4417  1 O 1.18
Co 0.2712 0.9585 0.3376  4 C 1.76-1.92
C 0.8347 0.1497 0.9417  1 O 1.18
O 0.3892 0.3605 0.6938  1 C 1.16
C 0.6371 0.2870 0.4504  1 O 1.15
O 0.1125 0.3372 0.0144  1 C 1.15
C 0.7732 0.4697 0.5551  1 O 1.16
O 0.3932 0.7274 0.6344  1 C 1.15
O 0.4575 0.9679 0.8039  1 C 1.15
O 0.5425 0.0321 0.1961  1 C 1.15
C 0.2870 0.6371 0.9504  1 O 1.15
O 0.8401 0.9412 0.2659  1 C 1.16
O 0.9659 0.1633 0.5053  1 C 1.18
C 0.5303 0.2268 0.9449  1 O 1.16
C 0.0029 0.5630 0.2496  1 O 1.15
O 0.9412 0.8401 0.7659  1 C 1.16
C 0.5630 0.0029 0.7496  1 O 1.15
O 0.8875 0.6628 0.9856  1 C 1.15
O 0.5819 0.8224 0.0327  1 C 1.16
Co 0.9585 0.2712 0.8376  4 C 1.76-1.92
O 0.0588 0.1599 0.2341  1 C 1.16
O 0.4181 0.1776 0.9673  1 C 1.16
O 0.6395 0.6108 0.8062  1 C 1.16
C 0.0757 0.1393 0.7754  1 O 1.16
C 0.5060 0.3403 0.6500  1 O 1.16
Co 0.0415 0.7288 0.1624  4 C 1.76-1.92
C 0.1653 0.8503 0.0583  1 O 1.18
Si 0.2392 0.7608 0.2500  4 Co 2.29-2.32
O 0.3605 0.3892 0.1938  1 C 1.16
C 0.0528 0.3105 0.9448  1 O 1.15
C 0.4697 0.7732 0.0551  1 O 1.16

As for the space-group type: C2/c (15). The MP2020-corrected energy comes out at -7.813 eV per atom. For the energy of formation from the pure elements, the calculation gives -0.77 eV per atom.